No. 1
# CuH6C2O7 | Materials Project | PBE | optimized geometry
# Magnetic moment   0.06 μB/atom
data_CuH6C2O7
_symmetry_space_group_name_H-M 'P c c a'
_symmetry_Int_Tables_number 54
_cell_length_a 9.6004
_cell_length_b 6.5899
_cell_length_c 10.3377
_cell_angle_alpha 90.00
_cell_angle_beta 90.00
_cell_angle_gamma 90.00
loop_
_symmetry_equiv_pos_as_xyz
'x,y,z'
'-x,-y,-z'
'-x+1/2,-y,z'
'x+1/2,y,-z'
'x+1/2,-y,-z+1/2'
'-x+1/2,y,z+1/2'
'-x,y,-z+1/2'
'x,-y,z+1/2'
loop_
_atom_site_label
_atom_site_fract_x
_atom_site_fract_y
_atom_site_fract_z
_atom_site_occupancy
Cu1 0.2500 0.0000 0.1343 1
H1 0.0230 0.4147 0.1788 1
H2 0.1334 0.3181 0.7701 1
H3 0.2413 0.2180 0.3544 1
C1 0.0189 0.1032 0.4707 1
O1 0.0000 0.4893 0.7500 1
O2 0.0701 0.1847 0.1029 1
O3 0.1369 0.1788 0.4997 1
O4 0.1924 0.1949 0.7829 1

=====

No. 2
# Cu2H2CO5 | Materials Project | PBE | optimized geometry
# Magnetic moment   0.20 μB/atom
data_Cu2H2CO5
_symmetry_space_group_name_H-M 'P 1 21/c 1'
_symmetry_Int_Tables_number 14
_cell_length_a 3.3324
_cell_length_b 12.0449
_cell_length_c 9.9233
_cell_angle_alpha 90.00
_cell_angle_beta 103.15
_cell_angle_gamma 90.00
loop_
_symmetry_equiv_pos_as_xyz
'x,y,z'
'-x,-y,-z'
'-x,y+1/2,-z+1/2'
'x,-y+1/2,z+1/2'
loop_
_atom_site_label
_atom_site_fract_x
_atom_site_fract_y
_atom_site_fract_z
_atom_site_occupancy
Cu1 0.1081 0.2113 0.0050 1
Cu2 0.3766 0.6098 0.2279 1
H1 0.1539 0.0102 0.1021 1
H2 0.1861 0.0982 0.4852 1
C1 0.4680 0.6363 0.7656 1
O1 0.1148 0.1518 0.4073 1
O2 0.1244 0.0882 0.1310 1
O3 0.3045 0.6258 0.6345 1
O4 0.3557 0.0536 0.6624 1
O5 0.4586 0.7327 0.8258 1

=====

One value per record, in order, for energy of formation from the pure elements: -1.285 -1.260 eV per atom.
One value per record, in order, for V: 10.22 9.70 A^3/atom.